--- A ---
An optimized crystal structure of Li9Co7O16, computed with PBE with a Hubbard U.

```
Li9Co7O16
1.0
5.103 0.000 0.000
-1.708 7.452 0.000
-1.689 -1.433 7.436
Li Co O
9 7 16
Cartesian
0.000 0.000 0.000
-1.699 3.009 3.718
-0.824 0.345 2.795
-0.831 2.601 0.914
-1.674 5.254 1.880
1.707 -0.717 3.718
3.379 0.765 5.556
2.537 3.418 6.521
2.529 5.674 4.641
1.692 1.447 1.894
0.831 4.129 2.803
0.834 6.341 0.960
1.697 3.726 0.000
0.871 -0.322 6.476
0.874 1.889 4.633
0.013 4.572 5.542
-1.626 5.238 6.530
0.923 -0.284 1.835
0.065 4.450 1.052
0.948 1.927 0.001
0.087 0.182 4.718
-0.678 4.782 3.668
0.116 2.327 2.896
-0.657 2.666 5.538
2.363 3.353 1.897
1.589 3.692 4.540
2.384 1.237 3.768
1.618 5.837 2.717
0.757 4.092 7.434
1.640 1.569 6.384
0.782 6.302 5.601
3.332 0.781 0.906
```

- Space-group type: P-1, No. 2

---

--- B ---
An optimized crystal structure of Li9Co7O16, computed with PBE with a Hubbard U.

```
Li9Co7O16
1.0
4.930 -2.898 0.000
4.930 2.898 0.000
-1.737 0.000 9.541
Li Co O
9 7 16
Cartesian
0.000 0.000 0.000
2.397 1.473 7.193
-0.096 0.000 7.209
5.725 1.473 2.348
3.269 0.000 2.331
4.854 0.000 7.210
2.397 -1.473 7.193
8.219 0.000 2.332
5.725 -1.473 2.348
2.465 1.449 0.000
1.596 0.000 4.765
4.061 1.449 4.770
2.465 -1.449 0.000
4.930 0.000 0.000
4.061 -1.449 4.770
6.527 0.000 4.776
2.461 1.455 3.642
0.027 0.000 3.653
1.754 0.000 1.010
4.075 1.343 1.031
1.553 0.000 8.523
4.047 1.343 8.510
3.157 0.000 5.869
5.661 1.455 5.899
2.461 -1.455 3.642
4.966 0.000 3.672
4.075 -1.343 1.031
6.570 0.000 1.018
4.047 -1.343 8.510
6.369 0.000 8.531
8.096 0.000 5.888
5.661 -1.455 5.899
```

- Space-group type: C2/m, No. 12

---

Of them, A has the lowest stability.

---

--- A ---
An optimized crystal structure of Li9Co7O16, computed with PBE with a Hubbard U.

```
Li9Co7O16
1.0
8.332 -2.913 0.000
8.332 2.913 0.000
-0.055 0.000 5.870
Li Co O
9 7 16
Cartesian
0.000 0.000 0.000
-0.027 0.000 2.935
6.241 1.474 4.393
4.137 0.000 2.938
10.367 1.474 1.477
8.332 0.000 0.000
6.241 -1.474 4.393
12.471 0.000 2.933
10.367 -1.474 1.477
6.282 1.478 1.509
4.160 0.000 0.009
10.327 1.478 4.362
8.304 0.000 2.935
6.282 -1.478 1.509
12.448 0.000 5.861
10.327 -1.478 4.362
4.208 1.460 1.382
2.094 0.000 3.061
2.059 0.000 5.821
8.239 1.330 1.585
8.369 1.330 4.285
6.178 0.000 0.123
6.375 0.000 2.913
12.401 1.460 4.488
4.208 -1.460 1.382
10.234 0.000 2.958
10.430 0.000 5.747
8.239 -1.330 1.585
8.369 -1.330 4.285
14.549 0.000 0.049
14.515 0.000 2.809
12.401 -1.460 4.488
```

- Space-group type: C2/m, No. 12

---

--- B ---
An optimized crystal structure of Li9Co7O16, computed with PBE with a Hubbard U.

```
Li9Co7O16
1.0
5.017 0.000 0.000
0.811 5.018 0.000
0.779 1.724 10.932
Li Co O
9 7 16
Cartesian
0.000 0.000 0.000
2.436 4.903 8.953
1.635 1.484 3.400
2.453 5.687 6.165
1.678 2.311 0.639
4.929 4.431 10.293
4.154 1.055 4.767
4.972 5.257 7.532
4.171 1.839 1.979
5.802 2.530 8.263
0.795 3.371 5.466
0.805 4.211 2.669
3.292 2.948 6.859
3.291 2.138 9.574
3.316 4.604 1.358
3.315 3.793 4.073
1.583 4.846 4.370
1.584 3.986 7.192
1.656 3.183 9.748
0.874 0.540 1.778
2.390 1.509 7.938
2.414 3.183 2.405
2.507 2.265 5.143
3.392 5.715 10.619
3.215 1.027 0.313
4.100 4.477 5.788
4.193 3.559 8.527
4.217 5.233 2.994
5.733 6.201 9.154
4.951 3.558 1.184
5.023 2.755 3.740
5.024 1.896 6.562
```

- Space-group type: P-1, No. 2

---

--- C ---
An optimized crystal structure of Li9Co7O16, computed with PBE with a Hubbard U.

```
Li9Co7O16
1.0
6.407 0.000 0.000
2.024 6.092 0.000
3.153 0.947 6.760
Li Co O
9 7 16
Cartesian
0.000 0.000 0.000
3.842 3.422 5.552
3.212 2.320 2.942
2.514 1.196 0.418
5.073 1.023 4.670
6.510 6.017 2.090
9.069 5.844 6.342
8.371 4.720 3.818
7.741 3.617 1.208
4.544 5.928 4.231
3.884 4.827 1.664
6.421 4.644 5.918
5.792 3.520 3.380
5.162 2.396 0.841
7.699 2.213 5.096
7.039 1.112 2.529
4.602 5.232 6.011
3.015 1.599 4.813
3.996 4.211 3.496
2.440 0.437 2.362
3.342 3.103 1.003
7.084 6.285 6.648
5.890 2.903 5.207
6.351 5.247 4.071
5.232 1.793 2.689
5.693 4.137 1.553
4.499 0.754 0.112
8.241 3.937 5.757
9.143 6.603 4.398
7.587 2.828 3.264
8.568 5.441 1.946
6.981 1.808 0.748
```

- Space-group type: P-1, No. 2

---

Of them, A has the lowest stability.

---

--- A ---
An optimized crystal structure of Eu2MgFe2O5, computed with PBE with a Hubbard U.

```
Eu2MgFe2O5
1.0
4.069 0.000 0.000
-1.927 5.491 0.000
-0.001 -0.018 7.083
Eu Mg Fe O
2 1 2 5
Cartesian
0.000 0.000 0.000
0.008 3.710 3.544
0.091 3.220 0.006
2.045 1.380 1.997
2.044 1.374 5.094
0.011 1.846 1.496
0.010 1.834 5.595
0.109 4.914 1.396
0.108 4.906 5.692
2.038 2.601 3.547
```

- Space-group type: P1, No. 1

---

--- B ---
An optimized crystal structure of Eu2MgFe2O5, computed with PBE with a Hubbard U.

```
Eu2MgFe2O5
1.0
3.746 0.000 0.000
0.004 5.865 0.000
0.006 0.009 7.033
Eu Mg Fe O
2 1 2 5
Cartesian
0.000 0.000 0.000
0.014 5.867 3.518
0.009 2.932 0.007
1.882 2.944 2.132
1.887 2.929 4.912
0.009 2.933 2.025
0.014 2.940 5.021
1.885 0.010 5.255
1.882 2.928 0.006
1.886 5.860 1.789
```

- Space-group type: P1, No. 1

---

Of them, B has the lowest stability.

---

--- A ---
An optimized crystal structure of Li9Mn2Co5O16, computed with PBE with a Hubbard U.

```
Li9Mn2Co5O16
1.0
5.117 0.000 0.000
0.000 5.810 0.000
-1.561 0.000 9.656
Li Mn Co O
9 2 5 16
Cartesian
0.000 0.000 0.000
0.864 1.415 2.261
0.864 4.394 2.261
0.069 0.000 7.378
0.140 2.905 7.338
3.416 2.905 2.317
3.487 0.000 2.278
2.693 1.415 7.395
2.693 4.394 7.395
1.778 0.000 4.828
1.778 2.905 4.828
-0.780 1.424 4.828
0.000 2.905 0.000
-0.780 4.385 4.828
2.558 1.414 0.000
2.558 4.396 0.000
-0.089 0.000 3.696
0.074 2.905 3.825
-0.679 1.567 8.592
-0.679 4.243 8.592
1.598 2.905 1.082
1.819 0.000 1.159
1.059 1.481 5.934
1.059 4.329 5.934
2.497 1.481 3.721
2.497 4.329 3.721
1.738 0.000 8.496
1.958 2.905 8.573
4.235 1.567 1.063
4.235 4.243 1.063
3.482 2.905 5.830
3.645 0.000 5.960
```

- Space-group type: P2/m, No. 10

---

--- B ---
An optimized crystal structure of Li9Mn2Co5O16, computed with PBE with a Hubbard U.

```
Li9Mn2Co5O16
1.0
4.979 0.000 0.000
-0.833 6.492 0.000
-0.964 -1.376 8.731
Li Mn Co O
9 2 5 16
Cartesian
0.000 0.000 0.000
-0.843 4.508 2.079
1.627 3.536 3.239
1.635 1.622 5.579
1.749 5.532 1.011
1.641 -0.300 7.725
2.412 2.398 8.178
4.056 2.554 4.398
4.017 0.668 6.648
-0.091 5.328 4.974
-0.082 3.354 7.139
0.810 0.841 2.704
0.843 2.806 0.495
3.238 -0.160 3.856
2.398 4.349 6.042
3.347 1.824 1.621
-0.059 2.632 2.409
-0.939 5.132 6.723
-0.071 0.558 4.661
0.147 4.687 0.151
0.672 1.634 7.364
0.733 5.442 3.213
0.749 3.592 5.321
1.758 0.986 0.937
2.349 -0.396 5.716
2.377 1.585 3.601
1.524 4.234 7.748
2.472 3.514 1.399
3.261 4.538 4.278
4.153 0.007 2.022
3.292 2.660 6.299
3.331 0.531 8.547
```

- Space-group type: P1, No. 1

---

--- C ---
An optimized crystal structure of Li9Mn2Co5O16, computed with PBE with a Hubbard U.

```
Li9Mn2Co5O16
1.0
2.968 0.000 0.000
-0.158 5.055 0.000
-0.559 -1.231 19.257
Li Mn Co O
9 2 5 16
Cartesian
0.000 0.000 0.000
2.737 0.175 7.235
-0.456 0.358 14.385
-0.324 1.922 9.565
1.189 -0.551 9.562
1.400 2.551 0.005
1.301 0.915 4.938
0.954 2.861 14.418
2.668 3.500 4.966
1.270 4.273 2.451
0.974 -0.436 16.840
2.378 2.092 16.844
-0.485 3.666 12.016
1.077 1.139 12.011
1.176 2.697 7.248
2.832 1.748 2.444
-0.316 3.478 8.280
-0.039 3.423 1.295
-0.231 0.252 10.899
-0.483 3.692 15.709
1.265 2.591 3.507
0.930 1.196 15.756
1.043 2.757 10.967
1.182 1.263 8.299
1.169 4.148 6.173
1.104 -0.466 13.092
0.854 2.994 17.951
1.443 0.883 1.345
2.377 2.018 13.123
2.274 0.489 17.992
2.740 0.079 3.602
2.668 1.930 6.196
```

- Space-group type: P1, No. 1

---

Of them, A has the lowest stability.